Record 1
{
  "formula": "BaCaZr4O12",
  "functional": "PBE",
  "state": "optimized geometry",
  "lattice": [[0.0000, -4.1816, -4.1688], [0.0000, -4.1816, 4.1688], [-8.2871, 0.0000, 0.0000]],
  "species": ["Ba", "Ca", "Zr", "Zr", "Zr", "Zr", "O", "O", "O", "O", "O", "O", "O", "O", "O", "O", "O", "O"],
  "fractional_positions": [[0.5200, 0.4800, 0.5000], [0.9763, 0.0237, 0.0000], [0.4870, 0.9896, 0.2432], [0.4870, 0.9896, 0.7568], [0.0104, 0.5130, 0.7568], [0.0104, 0.5130, 0.2432], [0.2786, 0.2784, 0.2516], [0.7216, 0.7214, 0.2516], [0.7216, 0.7214, 0.7484], [0.2786, 0.2784, 0.7484], [0.2029, 0.7971, 0.1932], [0.7697, 0.2303, 0.2622], [0.7697, 0.2303, 0.7378], [0.2029, 0.7971, 0.8068], [0.5784, 0.0193, 0.0000], [0.4842, 0.9769, 0.5000], [0.9807, 0.4216, 0.0000], [0.0231, 0.5158, 0.5000]],
  "vol_a3_per_cell": 289,
  "e_tot_ev_per_cell": -144.63,
  "space_group": "Amm2, No. 38",
  "corrected_energy_ev_per_cell": -152.88,
  "m_tot_mub_per_fu": 4.00,
  "delta_e_f_ev_per_atom": -3.0771
}

***

Record 2
{
  "formula": "BaCaPb",
  "functional": "PBE",
  "state": "optimized geometry",
  "lattice": [[5.3947, 0.0000, 0.0000], [0.0000, 8.9562, 0.0000], [0.0000, 0.0000, 9.8371]],
  "species": ["Ba", "Ba", "Ba", "Ba", "Ca", "Ca", "Ca", "Ca", "Pb", "Pb", "Pb", "Pb"],
  "fractional_positions": [[0.2500, 0.5213, 0.3176], [0.2500, 0.0213, 0.1824], [0.7500, 0.4787, 0.6824], [0.7500, 0.9787, 0.8176], [0.2500, 0.6447, 0.9297], [0.2500, 0.1447, 0.5703], [0.7500, 0.3553, 0.0703], [0.7500, 0.8553, 0.4297], [0.2500, 0.2744, 0.8920], [0.2500, 0.7744, 0.6080], [0.7500, 0.7256, 0.1080], [0.7500, 0.2256, 0.3920]],
  "vol_a3_per_cell": 475,
  "e_tot_ev_per_cell": -37.64,
  "space_group": "Pnma, No. 62",
  "delta_e_f_ev_per_atom": -0.5911
}

***

Record 3
{
  "formula": "BaCaSn",
  "functional": "PBE",
  "state": "optimized geometry",
  "lattice": [[-3.0274, -1.8930, -3.9508], [0.6956, -8.2072, 3.3994], [-8.0057, 1.5540, 5.3900]],
  "species": ["Ba", "Ba", "Ba", "Ba", "Ca", "Ca", "Ca", "Ca", "Sn", "Sn", "Sn", "Sn"],
  "fractional_positions": [[0.2500, 0.0214, 0.1814], [0.7500, 0.9786, 0.8186], [0.2500, 0.5214, 0.3186], [0.7500, 0.4786, 0.6814], [0.7500, 0.8558, 0.4287], [0.2500, 0.6442, 0.9287], [0.7500, 0.3558, 0.0713], [0.2500, 0.1442, 0.5713], [0.2500, 0.2749, 0.8916], [0.7500, 0.2251, 0.3916], [0.2500, 0.7749, 0.6084], [0.7500, 0.7251, 0.1084]],
  "vol_a3_per_cell": 464,
  "e_tot_ev_per_cell": -39.85,
  "space_group": "Pnma, No. 62",
  "delta_e_f_ev_per_atom": -0.6761
}

***

Record 4
{
  "formula": "BaCaSn3",
  "functional": "PBE",
  "state": "optimized geometry",
  "lattice": [[-2.6765, 8.9270, -0.9269], [-6.3899, -6.7400, -1.2070], [-3.8501, 0.6090, 16.9820]],
  "species": ["Ba", "Ba", "Ba", "Ba", "Ba", "Ba", "Ba", "Ba", "Ca", "Ca", "Ca", "Ca", "Ca", "Ca", "Ca", "Ca", "Sn", "Sn", "Sn", "Sn", "Sn", "Sn", "Sn", "Sn", "Sn", "Sn", "Sn", "Sn", "Sn", "Sn", "Sn", "Sn", "Sn", "Sn", "Sn", "Sn", "Sn", "Sn", "Sn", "Sn"],
  "fractional_positions": [[0.3235, 0.3235, 0.9140], [0.7165, 0.2835, 0.5000], [0.6765, 0.6765, 0.0860], [0.1765, 0.1765, 0.4140], [0.2835, 0.7165, 0.5000], [0.7835, 0.2165, 0.0000], [0.8235, 0.8235, 0.5860], [0.2165, 0.7835, 0.0000], [0.1441, 0.8756, 0.2285], [0.1244, 0.8559, 0.7715], [0.3559, 0.6244, 0.7285], [0.3756, 0.6441, 0.2715], [0.6244, 0.3559, 0.7285], [0.6441, 0.3756, 0.2715], [0.8756, 0.1441, 0.2285], [0.8559, 0.1244, 0.7715], [0.0664, 0.3032, 0.5919], [0.4336, 0.1968, 0.0919], [0.4337, 0.4337, 0.5850], [0.4880, 0.0412, 0.8364], [0.7797, 0.7797, 0.2807], [0.9880, 0.5412, 0.6636], [0.5412, 0.9880, 0.6636], [0.3032, 0.0664, 0.5919], [0.0120, 0.4588, 0.3364], [0.5120, 0.9588, 0.1636], [0.1968, 0.4336, 0.0919], [0.7203, 0.7203, 0.7807], [0.5663, 0.5663, 0.4150], [0.2797, 0.2797, 0.2193], [0.5664, 0.8032, 0.9081], [0.8032, 0.5664, 0.9081], [0.0412, 0.4880, 0.8364], [0.0663, 0.0663, 0.0850], [0.4588, 0.0120, 0.3364], [0.2203, 0.2203, 0.7193], [0.6968, 0.9336, 0.4081], [0.9588, 0.5120, 0.1636], [0.9336, 0.6968, 0.4081], [0.9337, 0.9337, 0.9150]],
  "vol_a3_per_cell": 1342,
  "e_tot_ev_per_cell": -151.96,
  "space_group": "Cmce, No. 64",
  "delta_e_f_ev_per_atom": -0.6083
}

***

Record 5
{
  "formula": "BaSr2Ca",
  "functional": "PBE",
  "state": "optimized geometry",
  "lattice": [[0.0000, 4.7141, 4.7141], [4.7141, 0.0000, 4.7141], [4.7141, 4.7141, 0.0000]],
  "species": ["Ba", "Sr", "Sr", "Ca"],
  "fractional_positions": [[0.5000, 0.5000, 0.5000], [0.2500, 0.2500, 0.2500], [0.7500, 0.7500, 0.7500], [0.0000, 0.0000, 0.0000]],
  "vol_a3_per_cell": 210,
  "e_tot_ev_per_cell": -7.22,
  "e_above_lowest_polymorph_kcal_per_mol_atoms": 0.00,
  "space_group": "Fm-3m, No. 225",
  "m_tot_mub_per_fu": 0.00,
  "delta_e_f_ev_per_atom": 0.0205
}

***

Record 6
{
  "formula": "BaCd3",
  "functional": "PBE",
  "state": "optimized geometry",
  "lattice": [[-1.7004, 7.1785, 0.8720], [-4.8703, -5.1144, 2.3034], [2.3073, -0.0363, 4.7981]],
  "species": ["Ba", "Ba", "Cd", "Cd", "Cd", "Cd", "Cd", "Cd"],
  "fractional_positions": [[0.3328, 0.6672, 0.2500], [0.6672, 0.3328, 0.7500], [0.1406, 0.2817, 0.7500], [0.7183, 0.8594, 0.7500], [0.1401, 0.8599, 0.7500], [0.8594, 0.7183, 0.2500], [0.2817, 0.1406, 0.2500], [0.8599, 0.1401, 0.2500]],
  "vol_a3_per_cell": 258,
  "e_tot_ev_per_cell": -11.37,
  "space_group": "Cmcm, No. 63",
  "m_tot_mub_per_fu": 0.00,
  "delta_e_f_ev_per_atom": -0.2492
}